(1)
# GaAg9Se6, relaxed, DFT PBE-GGA
data_GaAg9Se6
_chemical_formula_sum 'Ga4 Ag36 Se24'
_space_group_name_H-M_alt 'P 21 3'
_space_group_IT_number 198
_space_group_name_Hall 'P 2ac 2ab 3'
_cell_length_a 11.322
_cell_length_b 11.322
_cell_length_c 11.322
_cell_angle_alpha 90.00
_cell_angle_beta 90.00
_cell_angle_gamma 90.00
loop_
_atom_site_label
_atom_site_type_symbol
_atom_site_fract_x
_atom_site_fract_y
_atom_site_fract_z
Ga1 Ga 0.008 0.008 0.008
Ag1 Ag 0.030 0.773 0.268
Ag2 Ag 0.038 0.137 0.670
Ag3 Ag 0.070 0.866 0.675
Se1 Se 0.022 0.978 0.478
Se2 Se 0.101 0.627 0.634
Se3 Se 0.131 0.131 0.131
Se4 Se 0.238 0.262 0.738
# Calculated total energy, eV for the cell shown: -209.1
# ΔH_f (0 K), eV per atom: -0.35

=====

(2)
# BaCaInSbO6, relaxed, DFT PBE-GGA
data_BaCaInSbO6
_chemical_formula_sum 'Ba4 Ca4 In4 Sb4 O24'
_space_group_name_H-M_alt 'F -4 3 m'
_space_group_IT_number 216
_space_group_name_Hall 'F -4 2 3'
_cell_length_a 8.278
_cell_length_b 8.278
_cell_length_c 8.278
_cell_angle_alpha 90.00
_cell_angle_beta 90.00
_cell_angle_gamma 90.00
loop_
_atom_site_label
_atom_site_type_symbol
_atom_site_fract_x
_atom_site_fract_y
_atom_site_fract_z
Ba1 Ba 0.000 0.000 0.000
Ca1 Ca 0.000 0.000 0.500
In1 In 0.250 0.250 0.750
Sb1 Sb 0.250 0.250 0.250
O1 O 0.009 0.250 0.250
# Calculated total energy, eV for the cell shown: -244.1
# ΔH_f (0 K), eV per atom: -2.47
# M_tot, μB per cell: 0.000